[1]
# K2SrV4O12 (PBE+U, relaxed)
data_K2SrV4O12
_chemical_formula_sum 'K4 Sr2 V8 O24'
_space_group_name_H-M_alt 'P 4/n b m'
_space_group_IT_number 125
_cell_length_a 11.100
_cell_length_b 11.100
_cell_length_c 5.443
_cell_angle_alpha 90.00
_cell_angle_beta 90.00
_cell_angle_gamma 90.00
loop_
_space_group_symop_operation_xyz
'x,y,z'
'-x,-y,-z'
'-y+1/2,x,z'
'y+1/2,-x,-z'
'-x+1/2,-y+1/2,z'
'x+1/2,y+1/2,-z'
'y,-x+1/2,z'
'-y,x+1/2,-z'
'x,-y+1/2,-z'
'-x,y+1/2,z'
'-y+1/2,-x+1/2,-z'
'y+1/2,x+1/2,z'
'-x+1/2,y,-z'
'x+1/2,-y,z'
'y,x,-z'
'-y,-x,z'
loop_
_atom_site_label
_atom_site_type_symbol
_atom_site_fract_x
_atom_site_fract_y
_atom_site_fract_z
K1 K 0.000 0.000 0.000
Sr1 Sr 0.250 0.250 0.000
V1 V 0.030 0.750 0.500
O1 O 0.055 0.205 0.262
O2 O 0.126 0.626 0.602
# **E_form**: -48.8 eV per formula unit

---

[2]
# Fe2WC10Se2O10 (PBE+U, relaxed)
data_Fe2WC10Se2O10
_chemical_formula_sum 'Fe4 W2 C20 Se4 O20'
_space_group_name_H-M_alt 'P -1'
_space_group_IT_number 2
_space_group_name_Hall '-P 1'
_cell_length_a 7.168
_cell_length_b 9.629
_cell_length_c 14.182
_cell_angle_alpha 82.61
_cell_angle_beta 82.52
_cell_angle_gamma 86.24
loop_
_atom_site_label
_atom_site_type_symbol
_atom_site_fract_x
_atom_site_fract_y
_atom_site_fract_z
Fe1 Fe 0.143 0.174 0.136
Fe2 Fe 0.214 0.494 0.227
W1 W 0.105 0.229 0.332
C1 C 0.054 0.628 0.274
C2 C 0.067 0.656 0.575
C3 C 0.069 0.911 0.874
C4 C 0.130 0.888 0.637
C5 C 0.195 0.248 0.016
C6 C 0.219 0.028 0.361
C7 C 0.271 0.579 0.109
C8 C 0.280 0.254 0.432
C9 C 0.286 0.013 0.135
C10 C 0.408 0.545 0.283
Se1 Se 0.044 0.627 0.812
Se2 Se 0.390 0.279 0.198
O1 O 0.045 0.283 0.698
O2 O 0.164 0.595 0.521
O3 O 0.205 0.964 0.883
O4 O 0.228 0.297 0.937
O5 O 0.263 0.954 0.620
O6 O 0.279 0.914 0.379
O7 O 0.306 0.633 0.032
O8 O 0.377 0.909 0.133
O9 O 0.379 0.269 0.488
O10 O 0.466 0.424 0.682
# **E_form**: -14.5 eV per formula unit

---

Number 1: raw total energy -7.0181 eV/atom. Number 2: raw total energy -7.0952 eV/atom.